(1)
Entry from the Materials Project database: a relaxed LiYbO3 crystal (r2SCAN).

Geometry as extended XYZ:
```
5
Lattice="3.585 0.000 0.000 0.000 3.585 0.000 0.000 0.000 3.585" Properties=species:S:1:pos:R:3 pbc="T T T"
Li 0.000 0.000 0.000
Yb 1.792 1.792 1.792
O 0.000 0.000 1.792
O 0.000 1.792 0.000
O 1.792 0.000 0.000
```

V: 9.21 A^3/atom
Formation energy: -2.04 eV/atom
Space group: Pm-3m (221)

(2)
Entry from the Materials Project database: a relaxed Ca2B3H4ClO8 crystal (r2SCAN).

Geometry as extended XYZ:
```
72
Lattice="7.933 0.000 0.000 0.000 7.229 0.000 -0.778 0.000 12.532" Properties=species:S:1:pos:R:3 pbc="T T T"
Ca -0.013 1.038 2.518
Ca -0.402 2.576 8.784
Ca 2.667 4.748 9.241
Ca 3.056 6.094 2.975
Ca 4.098 1.134 9.557
Ca 4.487 2.480 3.291
Ca 7.556 4.652 3.748
Ca 7.167 6.190 10.014
B 0.339 5.251 7.341
B 0.728 5.592 1.075
B 0.627 4.236 11.636
B 1.016 6.607 5.370
B 1.888 0.003 7.644
B 2.277 3.612 1.378
B 5.267 7.226 4.888
B 4.878 3.617 11.154
B 6.139 0.622 7.163
B 6.528 2.993 0.897
B 6.427 1.637 11.457
B 6.816 1.978 5.191
H 0.546 1.499 11.360
H 0.935 2.116 5.094
H 1.725 3.919 6.639
H 2.115 6.923 0.373
H 2.520 1.616 1.468
H 2.131 1.998 7.734
H 3.226 0.510 5.249
H 2.837 3.104 11.515
H 4.317 4.125 1.017
H 3.928 6.718 7.283
H 5.024 5.230 4.798
H 4.635 5.613 11.064
H 5.040 0.305 12.159
H 5.429 3.309 5.893
H 6.219 5.113 7.438
H 6.609 5.730 1.172
Cl 2.844 4.084 4.841
Cl 2.455 6.759 11.107
Cl 4.699 0.469 1.425
Cl 4.310 3.145 7.691
O -0.223 1.225 10.844
O 0.166 2.390 4.578
O -0.192 5.203 12.218
O 0.197 5.640 5.952
O 0.643 4.138 10.292
O 1.033 6.705 4.026
O 1.294 4.529 1.915
O 0.905 6.314 8.181
O 1.208 4.029 7.461
O 1.597 6.814 1.195
O 1.814 0.167 6.186
O 1.425 3.447 12.452
O 1.739 1.326 8.314
O 2.128 2.289 2.048
O 3.646 4.147 1.738
O 3.257 6.696 8.004
O 3.897 0.532 4.528
O 3.508 3.082 10.794
O 5.026 4.940 10.484
O 5.415 5.903 4.218
O 5.729 3.781 0.080
O 5.340 7.061 6.346
O 5.557 0.415 11.337
O 5.946 3.199 5.071
O 6.249 0.915 4.351
O 5.860 2.700 10.617
O 6.122 0.524 8.506
O 6.511 3.090 2.240
O 6.957 1.589 6.580
O 7.347 2.026 0.314
O 6.988 4.839 7.954
O 7.378 6.004 1.688
```

V: 9.98 A^3/atom
Formation energy: -2.31 eV/atom
Space group: P2_1/c (14)

(3)
Entry from the Materials Project database: a relaxed NbTlB2O6 crystal (r2SCAN).

Geometry as extended XYZ:
```
40
Lattice="7.829 0.000 0.000 0.000 7.433 0.000 0.000 0.000 9.466" Properties=species:S:1:pos:R:3 pbc="T T T"
Nb 1.243 1.769 0.000
Nb 2.672 5.485 4.733
Nb 5.157 1.948 0.000
Nb 6.586 5.664 4.733
Tl 0.061 5.484 8.410
Tl 3.854 1.767 3.677
Tl 3.975 5.665 8.410
Tl 7.768 1.949 3.677
B 1.645 4.296 2.016
B 1.833 3.023 6.720
B 2.081 6.740 1.987
B 2.269 0.579 6.749
B 5.560 6.853 2.016
B 5.748 0.693 6.720
B 5.996 4.409 1.987
B 6.184 3.137 6.749
O 0.532 6.051 4.726
O 1.107 3.272 1.294
O 1.165 3.041 7.900
O 1.677 5.546 1.388
O 1.782 0.464 1.363
O 1.822 0.409 8.020
O 2.093 4.125 3.287
O 2.132 4.180 6.095
O 2.237 1.830 6.121
O 2.750 6.757 3.167
O 2.807 6.988 6.027
O 3.383 2.335 9.459
O 4.446 5.098 4.726
O 5.021 0.444 1.294
O 5.079 0.676 7.900
O 5.592 5.603 1.388
O 5.697 3.253 1.363
O 5.736 3.308 8.020
O 6.007 7.024 3.287
O 6.046 6.969 6.095
O 6.152 1.886 6.121
O 6.664 4.392 3.167
O 6.722 4.161 6.027
O 7.297 1.382 9.459
```

V: 13.77 A^3/atom
Formation energy: -2.43 eV/atom
Space group: Pna2_1 (33)

(4)
Entry from the Materials Project database: a relaxed Ba2GdB2ClO6 crystal (r2SCAN).

Geometry as extended XYZ:
```
24
Lattice="6.490 0.000 0.000 0.000 5.350 0.000 -1.234 0.000 11.355" Properties=species:S:1:pos:R:3 pbc="T T T"
Ba 0.361 1.338 2.361
Ba 1.505 1.338 6.513
Ba 3.752 4.013 4.842
Ba 4.895 4.013 8.994
Gd 1.117 1.338 10.353
Gd 4.139 4.013 1.002
B 1.279 4.013 0.849
B 1.535 4.013 8.211
B 3.722 1.338 3.144
B 3.977 1.338 10.507
Cl 0.465 4.013 4.715
Cl 4.791 1.338 6.641
O -0.050 4.013 1.103
O 0.937 2.832 8.622
O 0.937 5.193 8.622
O 2.018 2.841 0.756
O 2.018 5.185 0.756
O 2.660 1.338 4.019
O 2.597 4.013 7.336
O 3.239 0.166 10.600
O 3.239 2.509 10.600
O 4.319 0.157 2.733
O 4.319 2.518 2.733
O 5.307 1.338 10.252
```

V: 16.43 A^3/atom
Formation energy: -3.14 eV/atom
Space group: P2_1/m (11)

(5)
Entry from the Materials Project database: a relaxed Nd2TeO6 crystal (r2SCAN).

Geometry as extended XYZ:
```
36
Lattice="5.439 0.000 0.000 0.000 9.335 0.000 0.000 0.000 10.211" Properties=species:S:1:pos:R:3 pbc="T T T"
Nd 0.141 0.974 4.690
Nd 0.180 2.028 8.806
Nd 2.540 7.307 3.701
Nd 2.579 8.361 9.795
Nd 2.861 3.693 5.522
Nd 2.899 2.639 1.405
Nd 5.259 6.695 6.511
Nd 5.298 5.641 0.416
Te 0.227 4.626 3.641
Te 2.492 4.708 8.747
Te 2.947 0.041 6.570
Te 5.212 9.293 1.464
O 0.377 7.946 0.236
O 0.902 8.834 2.922
O 0.977 5.939 2.480
O 1.052 5.956 8.408
O 1.197 1.040 0.677
O 1.346 5.466 5.011
O 1.374 3.869 10.116
O 1.523 8.295 5.782
O 1.667 3.379 3.302
O 1.742 3.396 7.586
O 1.817 0.500 8.027
O 2.343 1.389 5.341
O 3.097 6.056 9.976
O 3.622 5.168 7.290
O 3.697 8.063 7.731
O 3.772 8.046 1.803
O 3.916 3.627 9.535
O 4.066 8.536 5.201
O 4.093 0.799 0.095
O 4.243 5.707 4.429
O 4.387 1.289 6.909
O 4.462 1.271 2.625
O 4.537 4.167 2.184
O 5.062 3.279 4.870
```

V: 14.40 A^3/atom
Formation energy: -2.75 eV/atom
Space group: P2_12_12_1 (19)

(6)
Entry from the Materials Project database: a relaxed Al2NiO4 crystal (r2SCAN).

Geometry as extended XYZ:
```
28
Lattice="0.495 -0.103 5.591 -5.131 2.497 0.500 -3.508 -7.242 0.178" Properties=species:S:1:pos:R:3 pbc="T T T"
Al -1.747 -0.334 0.149
Al -5.818 -2.757 3.283
Al -6.891 -4.410 0.529
Al -2.325 -2.090 2.986
Al -4.319 -2.372 0.339
Al 0.248 -0.051 2.796
Al -1.754 -3.621 0.089
Al -2.318 1.197 3.046
Ni -3.789 -4.833 1.656
Ni -3.542 -4.884 4.452
Ni -4.353 -0.014 4.613
Ni -4.601 0.037 1.817
O -3.484 -0.684 0.296
O -7.555 -3.108 3.430
O -0.947 -1.919 0.049
O -5.019 -4.342 3.183
O -7.691 -2.825 0.629
O -3.124 -0.505 3.086
O -5.154 -4.060 0.382
O -0.588 -1.739 2.839
O -5.500 -1.801 1.775
O -0.933 0.520 4.232
O -5.237 -1.855 4.746
O -1.165 0.568 1.611
O -2.906 -2.992 1.523
O -6.978 -5.415 4.658
O -2.643 -3.046 4.494
O -7.210 -5.367 2.038
```

V: 9.24 A^3/atom
Formation energy: -2.73 eV/atom

Question: Which value of formation energy does entry 6 give?
Answer: -2.73 eV/atom

Question: Number 5 is which compound?
Answer: Nd2TeO6

Question: Which value of formation energy does entry 5 give?
Answer: -2.75 eV/atom

Please write out number 1 again, unchanged.
Entry from the Materials Project database: a relaxed LiYbO3 crystal (r2SCAN).

Geometry as extended XYZ:
```
5
Lattice="3.585 0.000 0.000 0.000 3.585 0.000 0.000 0.000 3.585" Properties=species:S:1:pos:R:3 pbc="T T T"
Li 0.000 0.000 0.000
Yb 1.792 1.792 1.792
O 0.000 0.000 1.792
O 0.000 1.792 0.000
O 1.792 0.000 0.000
```

V: 9.21 A^3/atom
Formation energy: -2.04 eV/atom
Space group: Pm-3m (221)